Record 1
# FeGe2 (GGA-PBE, optimized geometry)
# ΔE_f = -0.2 eV per formula unit
# density = 7.7 Mg/m³
data_FeGe2
_symmetry_space_group_name_H-M 'I 4/m c m'
_symmetry_Int_Tables_number 140
_symmetry_space_group_name_Hall '-I 4 2c'
_cell_length_a 5.914
_cell_length_b 5.914
_cell_length_c 4.948
_cell_angle_alpha 90.00
_cell_angle_beta 90.00
_cell_angle_gamma 90.00
loop_
_atom_site_label
_atom_site_fract_x
_atom_site_fract_y
_atom_site_fract_z
Fe1 0.000 0.000 0.250
Ge1 0.157 0.343 0.000

Record 2
# FeGe3 (GGA-PBE, optimized geometry)
# ΔE_f = 1.7 eV per formula unit
# total moment = 4.8 μB per cell
# density = 6.8 Mg/m³
data_FeGe3
_symmetry_space_group_name_H-M 'P 63/m m c'
_symmetry_Int_Tables_number 194
_symmetry_space_group_name_Hall '-P 6c 2c'
_cell_length_a 5.6611
_cell_length_b 5.6611
_cell_length_c 4.7904
_cell_angle_alpha 90.00
_cell_angle_beta 90.00
_cell_angle_gamma 120.00
loop_
_atom_site_label
_atom_site_fract_x
_atom_site_fract_y
_atom_site_fract_z
Fe1 0.3333 0.6667 0.2500
Ge1 0.1750 0.3500 0.7500

Result set for calculated total energy: -5.97 -5.16 eV/atom, one per record in the order listed.